P | DFT (PBE) results for an optimized crystal structure of MgAg2O4.

## Properties
Calculated volume: 329 Å³/cell

a = 9.544 Å, b = 3.128 Å, c = 11.030 Å
α = 90.00°, β = 90.00°, γ = 90.00°
Fractional coordinates of all 28 atoms:
Mg1 0.250 0.250 0.158
Mg2 0.250 0.750 0.658
Mg3 0.750 0.250 0.342
Mg4 0.750 0.750 0.842
Ag1 0.067 0.250 0.389
Ag2 0.086 0.250 0.893
Ag3 0.414 0.750 0.393
Ag4 0.433 0.750 0.889
Ag5 0.567 0.250 0.111
Ag6 0.586 0.250 0.607
Ag7 0.914 0.750 0.107
Ag8 0.933 0.750 0.611
O1 0.023 0.750 0.776
O2 0.122 0.750 0.039
O3 0.127 0.250 0.572
O4 0.223 0.750 0.296
O5 0.277 0.250 0.796
O6 0.373 0.750 0.072
O7 0.378 0.250 0.539
O8 0.477 0.250 0.276
O9 0.523 0.750 0.724
O10 0.622 0.750 0.461
O11 0.627 0.250 0.928
O12 0.723 0.750 0.204
O13 0.777 0.250 0.704
O14 0.873 0.750 0.428
O15 0.878 0.250 0.961
O16 0.977 0.250 0.224



Q | DFT (PBE) results for an optimized crystal structure of MgAg2O4.

## Properties
Calculated volume: 724 Å³/cell

a = 6.274 Å, b = 6.274 Å, c = 20.998 Å
α = 97.70°, β = 97.70°, γ = 62.55°
Fractional coordinates of all 56 atoms:
Mg1 0.000 0.000 0.000
Mg2 0.123 0.123 0.874
Mg3 0.232 0.232 0.155
Mg4 0.249 0.249 0.750
Mg5 0.374 0.374 0.626
Mg6 0.500 0.500 0.500
Mg7 0.750 0.750 0.249
Mg8 0.982 0.982 0.405
Ag1 0.002 0.491 0.998
Ag2 0.004 0.498 0.501
Ag3 0.017 0.017 0.593
Ag4 0.246 0.751 0.249
Ag5 0.249 0.749 0.750
Ag6 0.272 0.272 0.344
Ag7 0.482 0.482 0.907
Ag8 0.491 0.002 0.998
Ag9 0.498 0.004 0.501
Ag10 0.522 0.522 0.093
Ag11 0.626 0.626 0.376
Ag12 0.731 0.731 0.658
Ag13 0.749 0.249 0.750
Ag14 0.751 0.246 0.249
Ag15 0.766 0.766 0.841
Ag16 0.874 0.874 0.125
O1 0.044 0.589 0.191
O2 0.062 0.062 0.697
O3 0.064 0.064 0.187
O4 0.113 0.537 0.692
O5 0.138 0.703 0.057
O6 0.181 0.181 0.058
O7 0.196 0.196 0.561
O8 0.211 0.638 0.558
O9 0.284 0.862 0.942
O10 0.299 0.299 0.939
O11 0.313 0.313 0.450
O12 0.342 0.800 0.441
O13 0.386 0.959 0.807
O14 0.436 0.436 0.802
O15 0.448 0.448 0.312
O16 0.456 0.889 0.310
O17 0.537 0.113 0.692
O18 0.549 0.549 0.691
O19 0.561 0.561 0.199
O20 0.589 0.044 0.191
O21 0.638 0.211 0.558
O22 0.687 0.687 0.550
O23 0.696 0.696 0.056
O24 0.703 0.138 0.057
O25 0.800 0.342 0.441
O26 0.811 0.811 0.439
O27 0.811 0.811 0.946
O28 0.862 0.284 0.942
O29 0.889 0.456 0.310
O30 0.933 0.933 0.305
O31 0.949 0.949 0.808
O32 0.959 0.386 0.807



R | DFT (PBE) results for an optimized crystal structure of MgAg2O4.

## Properties
Calculated volume: 175 Å³/cell

a = 6.151 Å, b = 6.151 Å, c = 6.151 Å
α = 116.04°, β = 113.78°, γ = 99.08°
Fractional coordinates of all 14 atoms:
Mg1 0.500 0.000 0.000
Mg2 0.500 0.500 0.500
Ag1 0.000 0.000 0.000
Ag2 0.099 0.349 0.750
Ag3 0.500 0.000 0.500
Ag4 0.901 0.651 0.250
O1 0.236 0.192 0.456
O2 0.236 0.780 0.044
O3 0.296 0.744 0.552
O4 0.308 0.256 0.052
O5 0.692 0.744 0.948
O6 0.704 0.256 0.448
O7 0.764 0.220 0.956
O8 0.764 0.808 0.544



Relative energies, in meV/atom, with the most stable structure set to zero: P 95; Q 15; R 0.



P | DFT (PBE) results for an optimized crystal structure of MgAg2O4.

## Properties
Calculated volume: 389 Å³/cell

a = 5.578 Å, b = 6.344 Å, c = 10.998 Å
α = 89.36°, β = 89.98°, γ = 90.00°
Fractional coordinates of all 28 atoms:
Mg1 0.000 0.000 0.000
Mg2 0.161 0.499 0.501
Mg3 0.444 0.499 0.000
Mg4 0.715 0.998 0.500
Ag1 0.044 0.500 0.215
Ag2 0.045 0.499 0.785
Ag3 0.115 0.000 0.715
Ag4 0.115 0.999 0.285
Ag5 0.579 0.249 0.250
Ag6 0.579 0.749 0.250
Ag7 0.580 0.249 0.750
Ag8 0.580 0.749 0.750
O1 0.229 0.247 0.934
O2 0.229 0.248 0.069
O3 0.229 0.752 0.066
O4 0.229 0.752 0.932
O5 0.357 0.493 0.664
O6 0.357 0.505 0.336
O7 0.474 0.992 0.364
O8 0.475 0.006 0.636
O9 0.684 0.493 0.864
O10 0.684 0.507 0.136
O11 0.802 0.993 0.165
O12 0.804 0.005 0.836
O13 0.930 0.251 0.432
O14 0.930 0.746 0.434
O15 0.931 0.251 0.566
O16 0.931 0.747 0.569



Q | DFT (PBE) results for an optimized crystal structure of MgAg2O4.

## Properties
Calculated volume: 182 Å³/cell

a = 6.275 Å, b = 6.275 Å, c = 6.275 Å
α = 61.82°, β = 61.82°, γ = 61.82°
Fractional coordinates of all 14 atoms:
Mg1 0.000 0.000 0.000
Mg2 0.384 0.384 0.384
Ag1 0.383 0.383 0.889
Ag2 0.383 0.889 0.383
Ag3 0.767 0.767 0.767
Ag4 0.889 0.383 0.383
O1 0.132 0.132 0.132
O2 0.147 0.147 0.604
O3 0.147 0.604 0.147
O4 0.186 0.621 0.621
O5 0.604 0.147 0.147
O6 0.621 0.186 0.621
O7 0.621 0.621 0.186
O8 0.629 0.629 0.629



R | DFT (PBE) results for an optimized crystal structure of MgAg2O4.

## Properties
Calculated volume: 551 Å³/cell

a = 6.414 Å, b = 6.414 Å, c = 15.462 Å
α = 90.00°, β = 90.00°, γ = 120.00°
Fractional coordinates of all 42 atoms:
Mg1 0.000 0.000 0.000
Mg2 0.000 0.000 0.241
Mg3 0.333 0.667 0.575
Mg4 0.667 0.333 0.287
Mg5 0.667 0.333 0.667
Mg6 0.667 0.333 0.914
Ag1 0.000 0.000 0.623
Ag2 0.167 0.334 0.789
Ag3 0.167 0.833 0.789
Ag4 0.333 0.667 0.333
Ag5 0.333 0.667 0.957
Ag6 0.336 0.168 0.455
Ag7 0.503 0.005 0.124
Ag8 0.503 0.497 0.124
Ag9 0.666 0.833 0.789
Ag10 0.832 0.168 0.455
Ag11 0.832 0.664 0.455
Ag12 0.995 0.497 0.124
O1 0.000 0.000 0.372
O2 0.000 0.000 0.870
O3 0.010 0.505 0.871
O4 0.157 0.314 0.530
O5 0.157 0.843 0.530
O6 0.172 0.345 0.045
O7 0.172 0.828 0.045
O8 0.322 0.161 0.708
O9 0.333 0.667 0.194
O10 0.333 0.667 0.707
O11 0.357 0.179 0.208
O12 0.495 0.505 0.871
O13 0.495 0.990 0.871
O14 0.521 0.043 0.378
O15 0.521 0.479 0.378
O16 0.655 0.828 0.045
O17 0.667 0.333 0.045
O18 0.667 0.333 0.539
O19 0.686 0.843 0.530
O20 0.821 0.179 0.208
O21 0.821 0.643 0.208
O22 0.839 0.161 0.708
O23 0.839 0.678 0.708
O24 0.957 0.479 0.378



S | DFT (PBE) results for an optimized crystal structure of MgAg2O4.

## Properties
Calculated volume: 179 Å³/cell

a = 6.316 Å, b = 6.316 Å, c = 6.316 Å
α = 119.75°, β = 119.75°, γ = 90.43°
Fractional coordinates of all 14 atoms:
Mg1 0.375 0.125 0.250
Mg2 0.625 0.875 0.750
Ag1 0.000 0.000 0.500
Ag2 0.000 0.500 0.000
Ag3 0.000 0.500 0.500
Ag4 0.500 0.500 0.000
O1 0.140 0.744 0.941
O2 0.244 0.803 0.604
O3 0.301 0.360 0.104
O4 0.303 0.199 0.559
O5 0.697 0.801 0.441
O6 0.699 0.640 0.896
O7 0.756 0.197 0.396
O8 0.860 0.256 0.059



Relative energies, in meV/atom, with the most stable structure set to zero: P 346; Q 21; R 74; S 0.



P | DFT (PBE) results for an optimized crystal structure of MgAg2O4.

## Properties
Calculated volume: 548 Å³/cell

a = 6.434 Å, b = 6.434 Å, c = 15.296 Å
α = 90.00°, β = 90.00°, γ = 120.00°
Fractional coordinates of all 42 atoms:
Mg1 0.000 0.000 0.000
Mg2 0.000 0.000 0.239
Mg3 0.000 0.000 0.622
Mg4 0.333 0.667 0.671
Mg5 0.667 0.333 0.334
Mg6 0.667 0.333 0.953
Ag1 0.165 0.330 0.454
Ag2 0.165 0.835 0.454
Ag3 0.332 0.166 0.786
Ag4 0.333 0.667 0.285
Ag5 0.333 0.667 0.908
Ag6 0.503 0.006 0.118
Ag7 0.503 0.497 0.118
Ag8 0.667 0.333 0.572
Ag9 0.670 0.835 0.454
Ag10 0.834 0.166 0.786
Ag11 0.834 0.668 0.786
Ag12 0.994 0.497 0.118
O1 0.000 0.000 0.369
O2 0.000 0.000 0.868
O3 0.018 0.509 0.378
O4 0.153 0.305 0.705
O5 0.153 0.847 0.705
O6 0.173 0.346 0.197
O7 0.173 0.827 0.197
O8 0.289 0.145 0.531
O9 0.333 0.667 0.048
O10 0.333 0.667 0.539
O11 0.357 0.179 0.033
O12 0.491 0.509 0.378
O13 0.491 0.982 0.378
O14 0.522 0.043 0.861
O15 0.522 0.478 0.861
O16 0.654 0.827 0.197
O17 0.667 0.333 0.201
O18 0.667 0.333 0.709
O19 0.695 0.847 0.705
O20 0.821 0.179 0.033
O21 0.821 0.643 0.033
O22 0.855 0.145 0.531
O23 0.855 0.711 0.531
O24 0.957 0.478 0.861



Q | DFT (PBE) results for an optimized crystal structure of MgAg2O4.

## Properties
Calculated volume: 542 Å³/cell

a = 6.297 Å, b = 6.297 Å, c = 15.494 Å
α = 90.54°, β = 90.54°, γ = 61.92°
Fractional coordinates of all 42 atoms:
Mg1 0.000 0.000 0.000
Mg2 0.167 0.167 0.167
Mg3 0.334 0.334 0.333
Mg4 0.488 0.488 0.875
Mg5 0.501 0.501 0.499
Mg6 0.666 0.666 0.667
Ag1 0.000 0.497 0.001
Ag2 0.156 0.156 0.542
Ag3 0.173 0.173 0.790
Ag4 0.175 0.664 0.665
Ag5 0.334 0.834 0.333
Ag6 0.497 0.000 0.001
Ag7 0.510 0.510 0.123
Ag8 0.664 0.175 0.665
Ag9 0.824 0.824 0.212
Ag10 0.834 0.334 0.333
Ag11 0.834 0.834 0.834
Ag12 0.845 0.845 0.456
O1 0.016 0.016 0.255
O2 0.025 0.452 0.256
O3 0.137 0.681 0.921
O4 0.165 0.165 0.403
O5 0.168 0.168 0.932
O6 0.215 0.644 0.410
O7 0.310 0.881 0.077
O8 0.321 0.321 0.080
O9 0.348 0.348 0.585
O10 0.361 0.786 0.589
O11 0.452 0.025 0.256
O12 0.503 0.503 0.263
O13 0.505 0.505 0.744
O14 0.549 0.981 0.745
O15 0.644 0.215 0.410
O16 0.652 0.652 0.411
O17 0.667 0.667 0.920
O18 0.681 0.137 0.921
O19 0.786 0.361 0.589
O20 0.831 0.831 0.068
O21 0.836 0.836 0.596
O22 0.881 0.310 0.077
O23 0.981 0.549 0.745
O24 0.988 0.988 0.743



R | DFT (PBE) results for an optimized crystal structure of MgAg2O4.

## Properties
Calculated volume: 389 Å³/cell

a = 6.344 Å, b = 5.578 Å, c = 12.635 Å
α = 90.00°, β = 119.49°, γ = 90.00°
Fractional coordinates of all 28 atoms:
Mg1 0.000 0.080 0.250
Mg2 0.000 0.920 0.750
Mg3 0.500 0.365 0.750
Mg4 0.500 0.635 0.250
Ag1 0.000 0.500 0.000
Ag2 0.000 0.500 0.500
Ag3 0.285 0.035 0.035
Ag4 0.285 0.965 0.535
Ag5 0.500 0.500 0.000
Ag6 0.500 0.500 0.500
Ag7 0.715 0.035 0.465
Ag8 0.715 0.965 0.965
O1 0.159 0.277 0.414
O2 0.159 0.723 0.914
O3 0.181 0.149 0.684
O4 0.181 0.851 0.184
O5 0.315 0.149 0.819
O6 0.315 0.851 0.319
O7 0.358 0.395 0.114
O8 0.358 0.605 0.614
O9 0.642 0.395 0.386
O10 0.642 0.605 0.886
O11 0.685 0.149 0.681
O12 0.685 0.851 0.181
O13 0.819 0.149 0.816
O14 0.819 0.851 0.316
O15 0.841 0.277 0.086
O16 0.841 0.723 0.586



Relative energies, in meV/atom, with the most stable structure set to zero: P 39; Q 0; R 342.



P | DFT (PBE) results for an optimized crystal structure of MgAg2O4.

## Properties
Calculated volume: 205 Å³/cell

a = 7.227 Å, b = 7.227 Å, c = 7.227 Å
α = 131.89°, β = 131.89°, γ = 70.40°
Fractional coordinates of all 14 atoms:
Mg1 0.375 0.625 0.750
Mg2 0.625 0.375 0.250
Ag1 0.000 0.000 0.000
Ag2 0.000 0.000 0.500
Ag3 0.000 0.500 0.000
Ag4 0.500 0.000 0.500
O1 0.216 0.731 0.485
O2 0.253 0.269 0.985
O3 0.269 0.253 0.485
O4 0.269 0.784 0.015
O5 0.731 0.216 0.985
O6 0.731 0.747 0.515
O7 0.747 0.731 0.015
O8 0.784 0.269 0.515



Q | DFT (PBE) results for an optimized crystal structure of MgAg2O4.

## Properties
Calculated volume: 184 Å³/cell

a = 6.384 Å, b = 6.384 Å, c = 6.384 Å
α = 60.00°, β = 60.00°, γ = 60.00°
Fractional coordinates of all 14 atoms:
Mg1 0.125 0.125 0.125
Mg2 0.875 0.875 0.875
Ag1 0.000 0.500 0.500
Ag2 0.500 0.000 0.500
Ag3 0.500 0.500 0.000
Ag4 0.500 0.500 0.500
O1 0.254 0.254 0.254
O2 0.254 0.254 0.738
O3 0.254 0.738 0.254
O4 0.262 0.746 0.746
O5 0.738 0.254 0.254
O6 0.746 0.262 0.746
O7 0.746 0.746 0.262
O8 0.746 0.746 0.746



Relative energies, in meV/atom, with the most stable structure set to zero: P 0; Q 128.